Record 1
# meta-GGA r2SCAN Cs2NpBr6, optimized geometry
data_Cs2NpBr6
_cell_length_a 7.929
_cell_length_b 7.929
_cell_length_c 7.850
_cell_angle_alpha 60.33
_cell_angle_beta 60.33
_cell_angle_gamma 59.34
_space_group_name_H-M_alt 'P 1'
_space_group_IT_number 1
loop_
_space_group_symop_operation_xyz
'x,y,z'
loop_
_atom_site_label
_atom_site_fract_x
_atom_site_fract_y
_atom_site_fract_z
Br1 0.753 0.247 0.753
Cs1 0.250 0.250 0.250
Br2 0.247 0.753 0.753
Br3 0.753 0.247 0.247
Cs2 0.750 0.750 0.750
Br4 0.247 0.247 0.753
Br5 0.753 0.753 0.247
Br6 0.247 0.753 0.247
Np1 0.000 0.000 0.000
# - Formation energy from the elements: -1894 meV per atom

Record 2
# meta-GGA r2SCAN TlSbF4, optimized geometry
data_TlSbF4
_cell_length_a 6.885
_cell_length_b 7.377
_cell_length_c 8.293
_cell_angle_alpha 79.88
_cell_angle_beta 90.00
_cell_angle_gamma 90.00
_space_group_name_H-M_alt 'P 1'
_space_group_IT_number 1
loop_
_space_group_symop_operation_xyz
'x,y,z'
loop_
_atom_site_label
_atom_site_fract_x
_atom_site_fract_y
_atom_site_fract_z
Sb1 0.302 0.385 0.703
F1 0.399 0.318 0.929
F2 0.101 0.318 0.429
F3 0.112 0.123 0.189
F4 0.440 0.255 0.287
F5 0.841 0.402 0.183
F6 0.659 0.402 0.683
Sb2 0.698 0.615 0.297
F7 0.612 0.877 0.311
F8 0.940 0.745 0.213
F9 0.060 0.255 0.787
F10 0.899 0.682 0.571
F11 0.388 0.123 0.689
Tl1 0.750 0.115 0.038
F12 0.159 0.598 0.817
F13 0.560 0.745 0.713
F14 0.888 0.877 0.811
Tl2 0.750 0.115 0.538
F15 0.601 0.682 0.071
Sb3 0.802 0.615 0.797
Tl3 0.250 0.885 0.962
Tl4 0.250 0.885 0.462
Sb4 0.198 0.385 0.203
F16 0.341 0.598 0.317
# - Formation energy from the elements: -2335 meV per atom

Record 3
# meta-GGA r2SCAN Er2InAg, optimized geometry
data_Er2InAg
_cell_length_a 3.607
_cell_length_b 3.607
_cell_length_c 7.470
_cell_angle_alpha 90.00
_cell_angle_beta 90.00
_cell_angle_gamma 90.00
_space_group_name_H-M_alt 'P 1'
_space_group_IT_number 1
loop_
_space_group_symop_operation_xyz
'x,y,z'
loop_
_atom_site_label
_atom_site_fract_x
_atom_site_fract_y
_atom_site_fract_z
Er1 0.000 0.000 0.234
Er2 0.000 0.000 0.766
In1 0.500 0.500 0.500
Ag1 0.500 0.500 0.000
# - Formation energy from the elements: -475 meV per atom

Record 4
# meta-GGA r2SCAN U7Se12, optimized geometry
data_U7Se12
_cell_length_a 4.027
_cell_length_b 11.626
_cell_length_c 11.626
_cell_angle_alpha 120.00
_cell_angle_beta 90.00
_cell_angle_gamma 90.00
_space_group_name_H-M_alt 'P 1'
_space_group_IT_number 1
loop_
_space_group_symop_operation_xyz
'x,y,z'
loop_
_atom_site_label
_atom_site_fract_x
_atom_site_fract_y
_atom_site_fract_z
Se1 0.250 0.526 0.140
U1 0.250 0.150 0.441
Se2 0.750 0.371 0.511
Se3 0.750 0.747 0.751
Se4 0.250 0.792 0.002
U2 0.750 0.851 0.572
Se5 0.250 0.614 0.474
Se6 0.750 0.249 0.995
Se7 0.750 0.005 0.253
Se8 0.750 0.141 0.629
Se9 0.250 0.998 0.790
Se10 0.250 0.210 0.208
U3 0.750 0.000 0.000
U4 0.750 0.428 0.279
Se11 0.250 0.860 0.386
U5 0.250 0.559 0.709
U6 0.750 0.721 0.149
U7 0.250 0.291 0.850
Se12 0.750 0.489 0.859
# - Formation energy from the elements: -1638 meV per atom

Record 5
# meta-GGA r2SCAN RbSeBr3, optimized geometry
data_RbSeBr3
_cell_length_a 5.496
_cell_length_b 5.496
_cell_length_c 5.486
_cell_angle_alpha 90.00
_cell_angle_beta 90.00
_cell_angle_gamma 90.00
_space_group_name_H-M_alt 'P 1'
_space_group_IT_number 1
loop_
_space_group_symop_operation_xyz
'x,y,z'
loop_
_atom_site_label
_atom_site_fract_x
_atom_site_fract_y
_atom_site_fract_z
Rb1 0.500 0.500 0.997
Br1 0.000 0.500 0.485
Br2 0.500 0.000 0.485
Br3 0.000 0.000 0.985
Se1 0.000 0.000 0.485
# - Formation energy from the elements: -796 meV per atom

Record 6
# meta-GGA r2SCAN LaNi2AsN, optimized geometry
data_LaNi2AsN
_cell_length_a 5.982
_cell_length_b 5.982
_cell_length_c 6.915
_cell_angle_alpha 90.00
_cell_angle_beta 90.00
_cell_angle_gamma 143.97
_space_group_name_H-M_alt 'P 1'
_space_group_IT_number 1
loop_
_space_group_symop_operation_xyz
'x,y,z'
loop_
_atom_site_label
_atom_site_fract_x
_atom_site_fract_y
_atom_site_fract_z
As1 0.732 0.268 0.750
N1 0.000 0.000 0.000
Ni1 0.831 0.169 0.053
Ni2 0.831 0.169 0.447
Ni3 0.169 0.831 0.553
La1 0.462 0.538 0.750
N2 0.000 0.000 0.500
La2 0.538 0.462 0.250
Ni4 0.169 0.831 0.947
As2 0.268 0.732 0.250
# - Formation energy from the elements: -854 meV per atom

Record 7
# meta-GGA r2SCAN Pr2Ge5Ir3, optimized geometry
data_Pr2Ge5Ir3
_cell_length_a 8.437
_cell_length_b 8.437
_cell_length_c 8.437
_cell_angle_alpha 137.54
_cell_angle_beta 105.43
_cell_angle_gamma 89.79
_space_group_name_H-M_alt 'P 1'
_space_group_IT_number 1
loop_
_space_group_symop_operation_xyz
'x,y,z'
loop_
_atom_site_label
_atom_site_fract_x
_atom_site_fract_y
_atom_site_fract_z
Ge1 0.058 0.899 0.158
Ir1 0.751 0.141 0.610
Ir2 0.469 0.359 0.110
Ir3 0.000 0.750 0.750
Ge2 0.226 0.476 0.250
Pr1 0.139 0.368 0.771
Ge3 0.774 0.024 0.250
Ir4 0.531 0.641 0.890
Ge4 0.774 0.524 0.750
Pr2 0.403 0.132 0.271
Ge5 0.500 0.250 0.750
Pr3 0.597 0.868 0.729
Ir5 0.249 0.859 0.390
Ge6 0.226 0.976 0.750
Ge7 0.741 0.399 0.342
Ir6 0.000 0.250 0.250
Ge8 0.259 0.601 0.658
Ge9 0.500 0.750 0.250
Pr4 0.861 0.632 0.229
Ge10 0.942 0.101 0.842
# - Formation energy from the elements: -825 meV per atom

Record 8
# meta-GGA r2SCAN Ca3MgC4O12, optimized geometry
data_Ca3MgC4O12
_cell_length_a 4.906
_cell_length_b 4.906
_cell_length_c 11.332
_cell_angle_alpha 90.00
_cell_angle_beta 102.50
_cell_angle_gamma 120.00
_space_group_name_H-M_alt 'P 1'
_space_group_IT_number 1
loop_
_space_group_symop_operation_xyz
'x,y,z'
loop_
_atom_site_label
_atom_site_fract_x
_atom_site_fract_y
_atom_site_fract_z
O1 0.496 0.885 0.631
C1 0.739 0.370 0.109
O2 0.254 0.390 0.369
Mg1 0.000 0.000 0.000
Ca1 0.489 0.745 0.234
C2 0.261 0.630 0.891
O3 0.504 0.115 0.369
O4 0.021 0.348 0.890
O5 0.021 0.136 0.631
O6 0.746 0.610 0.631
O7 0.216 0.869 0.890
Ca2 0.511 0.255 0.766
Ca3 0.000 0.500 0.500
O8 0.784 0.131 0.110
O9 0.542 0.673 0.890
O10 0.979 0.652 0.110
O11 0.979 0.864 0.369
C3 0.754 0.877 0.631
C4 0.246 0.123 0.369
O12 0.458 0.327 0.110
# - Formation energy from the elements: -2363 meV per atom
# - Energy relative to the lowest polymorph listed for this composition: 0.0000 eV/atom

Record 9
# meta-GGA r2SCAN CsCr3O8, optimized geometry
data_CsCr3O8
_cell_length_a 5.490
_cell_length_b 8.319
_cell_length_c 16.092
_cell_angle_alpha 90.00
_cell_angle_beta 90.00
_cell_angle_gamma 90.00
_space_group_name_H-M_alt 'P 1'
_space_group_IT_number 1
loop_
_space_group_symop_operation_xyz
'x,y,z'
loop_
_atom_site_label
_atom_site_fract_x
_atom_site_fract_y
_atom_site_fract_z
Cr1 0.250 0.865 0.919
Cr2 0.250 0.955 0.609
O1 0.750 0.231 0.168
O2 0.000 0.159 0.379
O3 0.250 0.731 0.332
Cr3 0.750 0.455 0.891
O4 0.250 0.038 0.516
O5 0.250 0.462 0.016
Cs1 0.250 0.013 0.219
O6 0.750 0.912 0.319
Cs2 0.250 0.487 0.719
O7 0.750 0.962 0.484
O8 0.501 0.178 0.028
O9 0.999 0.322 0.528
O10 0.001 0.822 0.972
O11 0.999 0.178 0.028
Cr4 0.750 0.045 0.391
Cr5 0.750 0.761 0.545
Cs3 0.750 0.987 0.781
Cr6 0.750 0.135 0.081
O12 0.250 0.439 0.393
O13 0.500 0.159 0.379
Cr7 0.750 0.365 0.581
O14 0.750 0.269 0.668
Cr8 0.250 0.239 0.455
O15 0.000 0.341 0.879
Cr9 0.250 0.635 0.419
O16 0.499 0.822 0.972
O17 0.250 0.088 0.681
O18 0.000 0.659 0.121
Cr10 0.250 0.261 0.955
O19 0.250 0.412 0.181
O20 0.750 0.588 0.819
O21 0.500 0.841 0.621
O22 0.250 0.061 0.893
O23 0.750 0.538 0.984
Cr11 0.750 0.739 0.045
O24 0.000 0.841 0.621
O25 0.750 0.561 0.607
O26 0.750 0.939 0.107
O27 0.501 0.322 0.528
Cr12 0.250 0.545 0.109
Cs4 0.750 0.513 0.281
O28 0.500 0.341 0.879
O29 0.250 0.769 0.832
O30 0.500 0.659 0.121
O31 0.499 0.678 0.472
O32 0.001 0.678 0.472
# - Formation energy from the elements: -2047 meV per atom

Record 10
# meta-GGA r2SCAN K17Fe5O16, optimized geometry
data_K17Fe5O16
_cell_length_a 18.316
_cell_length_b 18.316
_cell_length_c 6.683
_cell_angle_alpha 84.88
_cell_angle_beta 84.88
_cell_angle_gamma 158.97
_space_group_name_H-M_alt 'P 1'
_space_group_IT_number 1
loop_
_space_group_symop_operation_xyz
'x,y,z'
loop_
_atom_site_label
_atom_site_fract_x
_atom_site_fract_y
_atom_site_fract_z
O1 0.868 0.125 0.197
K1 0.674 0.207 0.010
K2 0.313 0.591 0.019
K3 0.497 0.589 0.457
K4 0.915 0.084 0.880
K5 0.407 0.683 0.473
K6 0.997 0.997 0.583
Fe1 0.178 0.819 0.085
O2 0.785 0.212 0.299
K7 0.207 0.674 0.010
O3 0.543 0.917 0.065
O4 0.083 0.454 0.803
Fe2 0.819 0.178 0.085
K8 0.589 0.497 0.457
O5 0.454 0.083 0.803
K9 0.828 0.165 0.607
O6 0.266 0.266 0.790
K10 0.328 0.779 0.458
K11 0.779 0.328 0.458
K12 0.408 0.501 0.001
K13 0.084 0.915 0.880
O7 0.042 0.956 0.245
O8 0.956 0.042 0.245
O9 0.640 0.826 0.674
Fe3 0.909 0.089 0.390
O10 0.125 0.868 0.197
O11 0.917 0.543 0.065
O12 0.173 0.360 0.409
Fe4 0.089 0.909 0.390
O13 0.212 0.785 0.299
K14 0.591 0.313 0.019
O14 0.730 0.730 0.056
K15 0.683 0.407 0.473
K16 0.165 0.828 0.607
Fe5 0.999 0.999 0.074
K17 0.501 0.408 0.001
O15 0.826 0.640 0.674
O16 0.360 0.173 0.409
# - Formation energy from the elements: -1597 meV per atom

Record 11
# meta-GGA r2SCAN LuCd, optimized geometry
data_LuCd
_cell_length_a 3.641
_cell_length_b 3.641
_cell_length_c 3.641
_cell_angle_alpha 90.00
_cell_angle_beta 90.00
_cell_angle_gamma 90.00
_space_group_name_H-M_alt 'P 1'
_space_group_IT_number 1
loop_
_space_group_symop_operation_xyz
'x,y,z'
loop_
_atom_site_label
_atom_site_fract_x
_atom_site_fract_y
_atom_site_fract_z
Lu1 0.500 0.500 0.500
Cd1 0.000 0.000 0.000
# - Formation energy from the elements: -355 meV per atom

Record 12
# meta-GGA r2SCAN Y3Ru, optimized geometry
data_Y3Ru
_cell_length_a 6.377
_cell_length_b 7.329
_cell_length_c 9.209
_cell_angle_alpha 90.00
_cell_angle_beta 90.00
_cell_angle_gamma 90.00
_space_group_name_H-M_alt 'P 1'
_space_group_IT_number 1
loop_
_space_group_symop_operation_xyz
'x,y,z'
loop_
_atom_site_label
_atom_site_fract_x
_atom_site_fract_y
_atom_site_fract_z
Y1 0.329 0.675 0.066
Ru1 0.467 0.385 0.250
Y2 0.671 0.325 0.566
Y3 0.368 0.955 0.750
Y4 0.632 0.045 0.250
Y5 0.132 0.455 0.750
Y6 0.829 0.825 0.566
Y7 0.868 0.545 0.250
Y8 0.171 0.175 0.434
Ru2 0.967 0.115 0.750
Y9 0.329 0.675 0.434
Y10 0.171 0.175 0.066
Ru3 0.533 0.615 0.750
Y11 0.671 0.325 0.934
Ru4 0.033 0.885 0.250
Y12 0.829 0.825 0.934
# - Formation energy from the elements: -297 meV per atom

> Which of these has the lowest formation energy from the elements?

Ca3MgC4O12

> What is the formula in the tenth record?

K17Fe5O16

> What is the formation energy from the elements in the seventh record?

-825 meV per atom